# 1
An optimized crystal structure of Er2GeRh3. Source: Materials Project, functional r2SCAN.

Output
Its energy of formation is -5.9 eV/f.u. The final energy is -26.671 eV/atom.

a = 5.0454 Å, b = 5.0454 Å, c = 5.0454 Å
α = 66.64°, β = 66.64°, γ = 66.64°
Last column: nearest neighbours and their distance in Å.
Fractional coordinates of all 6 atoms:
Er1 0.1298 0.1298 0.1298  9 Rh 2.87-3.16, 1 Er 3.04
Er2 0.8702 0.8702 0.8702  9 Rh 2.87-3.16, 1 Er 3.04
Ge1 0.5000 0.5000 0.5000  6 Rh 2.52
Rh1 0.0000 0.5000 0.5000  2 Ge 2.52, 4 Rh 2.77
Rh2 0.5000 0.0000 0.5000  2 Ge 2.52, 4 Rh 2.77
Rh3 0.5000 0.5000 0.0000  2 Ge 2.52, 4 Rh 2.77

***

# 2
An optimized crystal structure of BaN2. Source: Materials Project, functional r2SCAN.

Output
Its energy of formation is -1.9 eV/f.u. The final energy is -15.543 eV/atom.

a = 4.2215 Å, b = 4.2215 Å, c = 7.3131 Å
α = 102.80°, β = 102.80°, γ = 63.66°
Last column: nearest neighbours and their distance in Å.
Fractional coordinates of all 6 atoms:
Ba1 0.2041 0.7959 0.7500  6 N 2.67-2.98
Ba2 0.7959 0.2041 0.2500  6 N 2.67-2.98
N1 0.1500 0.4439 0.0452  1 N 1.23
N2 0.4439 0.1500 0.5452  1 N 1.23
N3 0.5561 0.8500 0.4548  1 N 1.23
N4 0.8500 0.5561 0.9548  1 N 1.23

***

# 3
An optimized crystal structure of CaPmPt2. Source: Materials Project, functional r2SCAN.

Output
Its energy of formation is -4.4 eV/f.u. The final energy is -35.995 eV/atom.

a = 4.9757 Å, b = 4.9757 Å, c = 4.9757 Å
α = 60.00°, β = 60.00°, γ = 60.00°
Last column: nearest neighbours and their distance in Å.
Fractional coordinates of all 4 atoms:
Ca1 0.0000 0.0000 0.0000  8 Pt 3.05
Pm1 0.5000 0.5000 0.5000  8 Pt 3.05
Pt1 0.2500 0.2500 0.2500  4 Pm 3.05, 4 Ca 3.05
Pt2 0.7500 0.7500 0.7500  4 Pm 3.05, 4 Ca 3.05

***

# 4
An optimized crystal structure of La3Ta2N6. Source: Materials Project, functional r2SCAN.

Output
Its energy of formation is -18.4 eV/f.u. The final energy is -23.603 eV/atom.

a = 10.4781 Å, b = 10.4781 Å, c = 10.4781 Å
α = 157.58°, β = 157.58°, γ = 31.92°
Last column: nearest neighbours and their distance in Å.
Fractional coordinates of all 11 atoms:
La1 0.0000 0.0000 0.0000  8 N 2.67
La2 0.1803 0.1803 0.0000  1 N 2.46
La3 0.8197 0.8197 0.0000  1 N 2.46
Ta1 0.3990 0.3990 0.0000  5 N 1.95-2.06
Ta2 0.6010 0.6010 0.0000  5 N 1.95-2.06
N1 0.0858 0.5858 0.5000  2 Ta 2.06
N2 0.3023 0.3023 0.0000  1 Ta 1.95
N3 0.4142 0.9142 0.5000  2 Ta 2.06
N4 0.5858 0.0858 0.5000  2 Ta 2.06
N5 0.6977 0.6977 0.0000  1 Ta 1.95
N6 0.9142 0.4142 0.5000  2 Ta 2.06

***

# 5
An optimized crystal structure of LiErSe2. Source: Materials Project, functional r2SCAN.

Output
Its energy of formation is -7.8 eV/f.u. The final energy is -18.175 eV/atom.

a = 6.9736 Å, b = 6.9736 Å, c = 6.9736 Å
α = 132.53°, β = 132.53°, γ = 69.39°
Last column: nearest neighbours and their distance in Å.
Fractional coordinates of all 8 atoms:
Li1 0.3750 0.6250 0.7500  6 Se 2.81-2.92
Li2 0.6250 0.3750 0.2500  6 Se 2.81-2.92
Er1 0.1250 0.8750 0.2500  6 Se 2.81-2.82
Er2 0.8750 0.1250 0.7500  6 Se 2.81-2.82
Se1 0.1205 0.3705 0.7500  3 Li 2.81-2.92, 3 Er 2.81-2.82
Se2 0.3705 0.1205 0.2500  3 Er 2.81-2.82, 3 Li 2.81-2.92
Se3 0.6295 0.8795 0.7500  3 Li 2.81-2.92, 3 Er 2.81-2.82
Se4 0.8795 0.6295 0.2500  3 Er 2.81-2.82, 3 Li 2.81-2.92

***

# 6
An optimized crystal structure of Eu2Mn2O7. Source: Materials Project, functional r2SCAN.

Output
Its energy of formation is -28.5 eV/f.u. The final energy is -16.064 eV/atom.

a = 7.0860 Å, b = 7.0860 Å, c = 7.0860 Å
α = 60.00°, β = 60.00°, γ = 60.00°
Last column: nearest neighbours and their distance in Å.
Fractional coordinates of all 22 atoms:
Eu1 0.0000 0.0000 0.0000  2 O 2.17
Eu2 0.0000 0.0000 0.5000  2 O 2.17
Eu3 0.0000 0.5000 0.0000  2 O 2.17
Eu4 0.5000 0.0000 0.0000  2 O 2.17
Mn1 0.0000 0.5000 0.5000  6 O 1.92
Mn2 0.5000 0.0000 0.5000  6 O 1.92
Mn3 0.5000 0.5000 0.0000  6 O 1.92
Mn4 0.5000 0.5000 0.5000  6 O 1.92
O1 0.1250 0.1250 0.1250  4 Eu 2.17
O2 0.1754 0.1754 0.5746  2 Mn 1.92
O3 0.1754 0.5746 0.1754  2 Mn 1.92
O4 0.1754 0.5746 0.5746  2 Mn 1.92
O5 0.4254 0.4254 0.8246  2 Mn 1.92
O6 0.4254 0.8246 0.4254  2 Mn 1.92
O7 0.4254 0.8246 0.8246  2 Mn 1.92
O8 0.5746 0.1754 0.1754  2 Mn 1.92
O9 0.5746 0.1754 0.5746  2 Mn 1.92
O10 0.5746 0.5746 0.1754  2 Mn 1.92
O11 0.8246 0.4254 0.4254  2 Mn 1.92
O12 0.8246 0.4254 0.8246  2 Mn 1.92
O13 0.8246 0.8246 0.4254  2 Mn 1.92
O14 0.8750 0.8750 0.8750  4 Eu 2.17

***

# 7
An optimized crystal structure of SmSe2. Source: Materials Project, functional r2SCAN.

Output
Its energy of formation is -5.5 eV/f.u. The final energy is -21.293 eV/atom.

a = 4.1169 Å, b = 4.1169 Å, c = 8.4847 Å
α = 90.00°, β = 90.00°, γ = 90.00°
Last column: nearest neighbours and their distance in Å.
Fractional coordinates of all 6 atoms:
Sm1 0.2500 0.2500 0.2262  9 Se 3.02-3.10
Sm2 0.7500 0.7500 0.7738  9 Se 3.02-3.10
Se1 0.2500 0.2500 0.8684  5 Sm 3.02-3.04
Se2 0.2500 0.7500 0.5000  4 Se 2.91, 4 Sm 3.10
Se3 0.7500 0.2500 0.5000  4 Se 2.91, 4 Sm 3.10
Se4 0.7500 0.7500 0.1316  5 Sm 3.02-3.04

***

# 8
An optimized crystal structure of Li2NdIn. Source: Materials Project, functional r2SCAN.

Output
Its energy of formation is -1.6 eV/f.u. The final energy is -14.604 eV/atom.

a = 4.9387 Å, b = 4.9387 Å, c = 4.9387 Å
α = 60.00°, β = 60.00°, γ = 60.00°
Last column: nearest neighbours and their distance in Å.
Fractional coordinates of all 4 atoms:
Li1 0.2500 0.2500 0.2500  4 In 3.02, 4 Nd 3.02
Li2 0.7500 0.7500 0.7500  4 In 3.02, 4 Nd 3.02
Nd1 0.0000 0.0000 0.0000  8 Li 3.02
In1 0.5000 0.5000 0.5000  8 Li 3.02

***

# 9
An optimized crystal structure of Zr3InF15. Source: Materials Project, functional r2SCAN.

Output
Its energy of formation is -71.6 eV/f.u. The final energy is -11.018 eV/atom.

a = 7.9231 Å, b = 7.9231 Å, c = 7.9231 Å
α = 99.85°, β = 99.85°, γ = 99.85°
Last column: nearest neighbours and their distance in Å.
Fractional coordinates of all 38 atoms:
Zr1 0.1802 0.7500 0.3198  8 F 2.09-2.12
Zr2 0.2500 0.6802 0.8198  8 F 2.09-2.12
Zr3 0.3198 0.1802 0.7500  8 F 2.09-2.12
Zr4 0.6802 0.8198 0.2500  8 F 2.09-2.12
Zr5 0.7500 0.3198 0.1802  8 F 2.09-2.12
Zr6 0.8198 0.2500 0.6802  8 F 2.09-2.12
In1 0.2500 0.2500 0.2500  6 F 2.08
In2 0.7500 0.7500 0.7500  6 F 2.08
F1 0.0207 0.7854 0.7785  1 In 2.08, 1 Zr 2.12
F2 0.0378 0.4622 0.7500  2 Zr 2.12
F3 0.0478 0.1484 0.6739  2 Zr 2.09-2.10
F4 0.1484 0.6739 0.0478  2 Zr 2.09-2.10
F5 0.1739 0.6484 0.5478  2 Zr 2.09-2.10
F6 0.2146 0.2215 0.9793  1 In 2.08, 1 Zr 2.12
F7 0.2215 0.9793 0.2146  1 In 2.08, 1 Zr 2.12
F8 0.2500 0.9622 0.5378  2 Zr 2.12
F9 0.2785 0.2854 0.5207  1 In 2.08, 1 Zr 2.12
F10 0.2854 0.5207 0.2785  1 In 2.08, 1 Zr 2.12
F11 0.3261 0.9522 0.8516  2 Zr 2.09-2.10
F12 0.3516 0.4522 0.8261  2 Zr 2.09-2.10
F13 0.4522 0.8261 0.3516  2 Zr 2.09-2.10
F14 0.4622 0.7500 0.0378  2 Zr 2.12
F15 0.4793 0.7215 0.7146  1 In 2.08, 1 Zr 2.12
F16 0.5207 0.2785 0.2854  1 In 2.08, 1 Zr 2.12
F17 0.5378 0.2500 0.9622  2 Zr 2.12
F18 0.5478 0.1739 0.6484  2 Zr 2.09-2.10
F19 0.6484 0.5478 0.1739  2 Zr 2.09-2.10
F20 0.6739 0.0478 0.1484  2 Zr 2.09-2.10
F21 0.7146 0.4793 0.7215  1 In 2.08, 1 Zr 2.12
F22 0.7215 0.7146 0.4793  1 In 2.08, 1 Zr 2.12
F23 0.7500 0.0378 0.4622  2 Zr 2.12
F24 0.7785 0.0207 0.7854  1 In 2.08, 1 Zr 2.12
F25 0.7854 0.7785 0.0207  1 In 2.08, 1 Zr 2.12
F26 0.8261 0.3516 0.4522  2 Zr 2.09-2.10
F27 0.8516 0.3261 0.9522  2 Zr 2.09-2.10
F28 0.9522 0.8516 0.3261  2 Zr 2.09-2.10
F29 0.9622 0.5378 0.2500  2 Zr 2.12
F30 0.9793 0.2146 0.2215  1 In 2.08, 1 Zr 2.12